A plane-wave DFT calculation with PBE was carried out for an optimized crystal structure of TbH10C6S6N3O17F18.

Lattice parameters (Å, degrees): 13.228 18.789 17.985 90.00 132.71 90.00
Positions (direct):
Tb1 0.061 0.246 0.349
Tb2 0.061 0.254 0.849
Tb3 0.939 0.746 0.151
Tb4 0.939 0.754 0.651
H1 0.018 0.652 0.567
H2 0.018 0.848 0.067
H3 0.033 0.094 0.286
H4 0.033 0.406 0.786
H5 0.051 0.104 0.907
H6 0.051 0.396 0.407
H7 0.084 0.086 0.394
H8 0.084 0.414 0.894
H9 0.114 0.223 0.538
H10 0.114 0.277 0.038
H11 0.118 0.672 0.128
H12 0.118 0.828 0.628
H13 0.144 0.704 0.863
H14 0.144 0.796 0.363
H15 0.193 0.747 0.180
H16 0.193 0.753 0.680
H17 0.243 0.732 0.847
H18 0.243 0.768 0.347
H19 0.252 0.199 0.567
H20 0.252 0.301 0.067
H21 0.748 0.699 0.933
H22 0.748 0.801 0.433
H23 0.757 0.232 0.653
H24 0.757 0.268 0.153
H25 0.807 0.247 0.320
H26 0.807 0.253 0.820
H27 0.856 0.204 0.637
H28 0.856 0.296 0.137
H29 0.882 0.172 0.372
H30 0.882 0.328 0.872
H31 0.886 0.723 0.962
H32 0.886 0.777 0.462
H33 0.916 0.586 0.106
H34 0.916 0.914 0.606
H35 0.949 0.604 0.593
H36 0.949 0.896 0.093
H37 0.967 0.594 0.214
H38 0.967 0.906 0.714
H39 0.982 0.152 0.933
H40 0.982 0.348 0.433
C1 0.226 0.091 0.741
C2 0.226 0.409 0.241
C3 0.250 0.136 0.222
C4 0.250 0.364 0.722
C5 0.282 0.596 0.518
C6 0.282 0.904 0.018
C7 0.308 0.615 0.061
C8 0.308 0.885 0.561
C9 0.427 0.582 0.855
C10 0.427 0.918 0.355
C11 0.471 0.145 0.086
C12 0.471 0.355 0.586
C13 0.529 0.645 0.414
C14 0.529 0.855 0.914
C15 0.573 0.082 0.645
C16 0.573 0.418 0.145
C17 0.692 0.115 0.439
C18 0.692 0.385 0.939
C19 0.718 0.096 0.982
C20 0.718 0.404 0.482
C21 0.750 0.636 0.278
C22 0.750 0.864 0.778
C23 0.774 0.591 0.759
C24 0.774 0.909 0.259
S1 0.069 0.092 0.724
S2 0.069 0.408 0.224
S3 0.075 0.171 0.161
S4 0.075 0.329 0.661
S5 0.110 0.559 0.461
S6 0.110 0.941 0.961
S7 0.132 0.577 0.988
S8 0.132 0.923 0.488
S9 0.439 0.674 0.821
S10 0.439 0.826 0.321
S11 0.448 0.228 0.018
S12 0.448 0.272 0.518
S13 0.552 0.728 0.482
S14 0.552 0.772 0.982
S15 0.561 0.174 0.679
S16 0.561 0.326 0.179
S17 0.868 0.077 0.512
S18 0.868 0.423 0.012
S19 0.890 0.059 0.039
S20 0.890 0.441 0.539
S21 0.925 0.671 0.339
S22 0.925 0.829 0.839
S23 0.931 0.592 0.776
S24 0.931 0.908 0.276
N1 0.008 0.603 0.356
N2 0.008 0.897 0.856
N3 0.051 0.623 0.886
N4 0.051 0.877 0.386
N5 0.434 0.721 0.893
N6 0.434 0.779 0.393
N7 0.566 0.221 0.607
N8 0.566 0.279 0.107
N9 0.949 0.123 0.614
N10 0.949 0.377 0.114
N11 0.992 0.103 0.144
N12 0.992 0.397 0.644
O1 0.023 0.153 0.903
O2 0.023 0.347 0.403
O3 0.028 0.210 0.073
O4 0.028 0.290 0.573
O5 0.054 0.020 0.742
O6 0.054 0.480 0.242
O7 0.066 0.121 0.346
O8 0.066 0.379 0.846
O9 0.096 0.575 0.532
O10 0.096 0.600 0.045
O11 0.096 0.900 0.545
O12 0.096 0.925 0.032
O13 0.101 0.146 0.796
O14 0.101 0.354 0.296
O15 0.104 0.212 0.243
O16 0.104 0.288 0.743
O17 0.113 0.014 0.939
O18 0.113 0.486 0.439
O19 0.122 0.714 0.163
O20 0.122 0.786 0.663
O21 0.142 0.502 0.979
O22 0.142 0.998 0.479
O23 0.148 0.734 0.820
O24 0.148 0.766 0.320
O25 0.153 0.208 0.511
O26 0.153 0.292 0.011
O27 0.308 0.249 0.468
O28 0.308 0.251 0.968
O29 0.311 0.685 0.717
O30 0.311 0.815 0.217
O31 0.434 0.176 0.658
O32 0.434 0.324 0.158
O33 0.476 0.210 0.956
O34 0.476 0.290 0.456
O35 0.524 0.710 0.544
O36 0.524 0.790 0.044
O37 0.566 0.676 0.842
O38 0.566 0.824 0.342
O39 0.689 0.185 0.783
O40 0.689 0.315 0.283
O41 0.692 0.749 0.032
O42 0.692 0.751 0.532
O43 0.847 0.708 0.989
O44 0.847 0.792 0.489
O45 0.852 0.234 0.680
O46 0.852 0.266 0.180
O47 0.858 0.002 0.521
O48 0.858 0.498 0.021
O49 0.878 0.214 0.337
O50 0.878 0.286 0.837
O51 0.887 0.514 0.561
O52 0.887 0.986 0.061
O53 0.896 0.712 0.257
O54 0.896 0.788 0.757
O55 0.899 0.646 0.704
O56 0.899 0.854 0.204
O57 0.904 0.075 0.968
O58 0.904 0.100 0.455
O59 0.904 0.400 0.955
O60 0.904 0.425 0.468
O61 0.934 0.621 0.154
O62 0.934 0.879 0.654
O63 0.946 0.520 0.758
O64 0.946 0.980 0.258
O65 0.972 0.710 0.427
O66 0.972 0.790 0.927
O67 0.977 0.653 0.597
O68 0.977 0.847 0.097
F1 0.201 0.048 0.670
F2 0.201 0.452 0.170
F3 0.236 0.089 0.159
F4 0.236 0.411 0.659
F5 0.256 0.157 0.731
F6 0.256 0.343 0.231
F7 0.283 0.667 0.529
F8 0.283 0.833 0.029
F9 0.306 0.582 0.458
F10 0.306 0.918 0.958
F11 0.307 0.686 0.072
F12 0.307 0.814 0.572
F13 0.308 0.574 0.833
F14 0.308 0.926 0.333
F15 0.310 0.103 0.310
F16 0.310 0.397 0.810
F17 0.330 0.191 0.240
F18 0.330 0.309 0.740
F19 0.334 0.066 0.833
F20 0.334 0.434 0.333
F21 0.353 0.602 0.013
F22 0.353 0.898 0.513
F23 0.380 0.095 0.018
F24 0.380 0.405 0.518
F25 0.381 0.565 0.609
F26 0.381 0.935 0.109
F27 0.395 0.584 0.153
F28 0.395 0.916 0.653
F29 0.401 0.619 0.359
F30 0.401 0.881 0.859
F31 0.431 0.535 0.801
F32 0.431 0.965 0.301
F33 0.450 0.159 0.148
F34 0.450 0.341 0.648
F35 0.466 0.071 0.546
F36 0.466 0.429 0.046
F37 0.534 0.571 0.954
F38 0.534 0.929 0.454
F39 0.550 0.659 0.352
F40 0.550 0.841 0.852
F41 0.569 0.035 0.699
F42 0.569 0.465 0.199
F43 0.599 0.119 0.141
F44 0.599 0.381 0.641
F45 0.605 0.084 0.347
F46 0.605 0.416 0.847
F47 0.619 0.065 0.891
F48 0.619 0.435 0.391
F49 0.620 0.595 0.482
F50 0.620 0.905 0.982
F51 0.647 0.102 0.487
F52 0.647 0.398 0.987
F53 0.666 0.566 0.667
F54 0.666 0.934 0.167
F55 0.670 0.691 0.260
F56 0.670 0.809 0.760
F57 0.690 0.603 0.190
F58 0.690 0.897 0.690
F59 0.692 0.074 0.667
F60 0.692 0.426 0.167
F61 0.693 0.186 0.428
F62 0.693 0.314 0.928
F63 0.694 0.082 0.042
F64 0.694 0.418 0.542
F65 0.717 0.167 0.971
F66 0.717 0.333 0.471
F67 0.744 0.657 0.769
F68 0.744 0.843 0.269
F69 0.764 0.589 0.341
F70 0.764 0.911 0.841
F71 0.799 0.548 0.830
F72 0.799 0.952 0.330

Summary:
- Formation enthalpy at 0 K: -1566 meV per atom
- Calculated volume: 3284.72 Å³ per cell
- Spin magnetization: 0.00 μB/f.u.
- Total energy after the MP2020 corrections: -5.867 eV per atom
- Energy: -5.54 eV per atom
- Space-group type: P2_1/c (14)